Material: BaCaEuNbO6
Method: DFT, PBE
State: relaxed

Results
total DFT energy (no corrections)	-163.587	eV per cell
corrected total energy (MP2020 scheme)	-8.592	eV/atom
SG	P-1
energy relative to the elements	-31.9	eV/f.u.

a = 5.946 Å, b = 6.034 Å, c = 8.474 Å
α = 90.71°, β = 90.58°, γ = 90.38°
Element x y z (fractional)
O: 0.819 0.780 0.447
O: 0.307 0.729 0.958
O: 0.392 0.997 0.231
Eu: 0.000 0.500 0.000
O: 0.227 0.187 0.940
O: 0.067 0.445 0.268
O: 0.693 0.271 0.042
Eu: 0.500 0.000 0.500
Nb: 0.000 0.500 0.500
Ca: 0.990 0.045 0.254
O: 0.181 0.220 0.553
O: 0.727 0.305 0.468
O: 0.773 0.813 0.060
Ca: 0.010 0.955 0.746
Nb: 0.500 0.000 0.000
O: 0.273 0.695 0.532
Ba: 0.494 0.466 0.749
Ba: 0.506 0.534 0.251
O: 0.933 0.555 0.732
O: 0.608 0.003 0.769

=====

Material: LiCuCO3
Method: DFT, PBE
State: relaxed

Results
total DFT energy (no corrections)	-69.606	eV per cell
corrected total energy (MP2020 scheme)	-6.144	eV/atom
SG	P-1
energy relative to the elements	-6.8	eV/f.u.

a = 5.037 Å, b = 5.105 Å, c = 6.451 Å
α = 111.29°, β = 90.26°, γ = 118.59°
Element x y z (fractional)
Cu: 0.601 0.261 0.772
O: 0.324 0.310 0.261
O: 0.805 0.098 0.214
Cu: 0.399 0.739 0.228
Li: 0.244 0.635 0.669
O: 0.195 0.902 0.786
O: 0.930 0.206 0.692
Li: 0.756 0.365 0.331
C: 0.065 0.068 0.260
O: 0.676 0.690 0.739
C: 0.935 0.932 0.740
O: 0.070 0.794 0.308

=====

Material: NbNiP2
Method: DFT, PBE
State: relaxed

Results
total DFT energy (no corrections)	-118.519	eV per cell
SG	Pnma
energy relative to the elements	-2.9	eV/f.u.

a = 3.358 Å, b = 5.413 Å, c = 12.207 Å
α = 90.00°, β = 90.00°, γ = 90.00°
Element x y z (fractional)
P: 0.750 0.808 0.964
Ni: 0.750 0.481 0.085
P: 0.250 0.692 0.464
P: 0.750 0.308 0.536
Nb: 0.750 0.484 0.330
Nb: 0.250 0.016 0.830
Nb: 0.250 0.516 0.670
P: 0.250 0.136 0.310
Ni: 0.750 0.981 0.415
P: 0.750 0.864 0.690
Nb: 0.750 0.984 0.170
P: 0.250 0.636 0.190
P: 0.750 0.364 0.810
P: 0.250 0.192 0.036
Ni: 0.250 0.519 0.915
Ni: 0.250 0.019 0.585

=====

Material: Mg3Bi
Method: DFT, PBE
State: relaxed

Results
total DFT energy (no corrections)	-8.963	eV per cell
SG	I4/mmm
energy relative to the elements	-0.3	eV/f.u.

a = 5.674 Å, b = 5.674 Å, c = 5.674 Å
α = 131.80°, β = 131.80°, γ = 70.54°
Element x y z (fractional)
Bi: 0.000 0.000 0.000
Mg: 0.500 0.500 0.000
Mg: 0.250 0.750 0.500
Mg: 0.750 0.250 0.500

=====

Material: Eu2H16S3O20
Method: DFT, PBE
State: relaxed

Results
total DFT energy (no corrections)	-486.691	eV per cell
corrected total energy (MP2020 scheme)	-6.270	eV/atom
SG	C2/c
energy relative to the elements	-70.9	eV/f.u.

a = 7.831 Å, b = 7.831 Å, c = 18.902 Å
α = 78.69°, β = 78.69°, γ = 53.17°
Element x y z (fractional)
O: 0.920 0.597 0.418
H: 0.242 0.297 0.247
O: 0.829 0.862 0.544
H: 0.197 0.785 0.845
H: 0.992 0.723 0.015
O: 0.569 0.723 0.482
Eu: 0.304 0.357 0.394
O: 0.752 0.764 0.702
H: 0.723 0.992 0.515
O: 0.219 0.617 0.287
H: 0.205 0.033 0.986
Eu: 0.357 0.304 0.894
H: 0.297 0.242 0.747
O: 0.302 0.781 0.062
O: 0.644 0.323 0.361
H: 0.338 0.681 0.456
H: 0.781 0.872 0.697
O: 0.383 0.781 0.213
H: 0.825 0.189 0.603
O: 0.090 0.977 0.305
H: 0.662 0.319 0.544
O: 0.862 0.829 0.044
H: 0.555 0.347 0.146
S: 0.686 0.747 0.411
Eu: 0.643 0.696 0.106
H: 0.445 0.653 0.854
H: 0.758 0.703 0.753
O: 0.781 0.383 0.713
H: 0.175 0.811 0.397
O: 0.080 0.403 0.582
S: 0.824 0.176 0.750
O: 0.306 0.368 0.148
H: 0.128 0.219 0.803
S: 0.747 0.686 0.911
O: 0.356 0.677 0.639
O: 0.277 0.431 0.018
O: 0.236 0.248 0.798
H: 0.319 0.662 0.044
H: 0.795 0.967 0.014
O: 0.977 0.090 0.805
H: 0.219 0.128 0.303
O: 0.698 0.219 0.938
H: 0.277 0.008 0.485
O: 0.171 0.138 0.456
O: 0.781 0.302 0.562
O: 0.030 0.377 0.102
O: 0.431 0.277 0.518
O: 0.377 0.030 0.602
S: 0.253 0.314 0.089
O: 0.694 0.632 0.852
O: 0.970 0.623 0.898
H: 0.681 0.338 0.956
O: 0.597 0.920 0.918
O: 0.138 0.171 0.956
O: 0.368 0.306 0.648
O: 0.623 0.970 0.398
O: 0.723 0.569 0.982
H: 0.872 0.781 0.197
H: 0.347 0.555 0.646
H: 0.653 0.445 0.354
O: 0.677 0.356 0.139
H: 0.803 0.215 0.155
O: 0.403 0.080 0.082
H: 0.811 0.175 0.897
H: 0.215 0.803 0.655
H: 0.785 0.197 0.345
O: 0.323 0.644 0.861
O: 0.764 0.752 0.202
O: 0.632 0.694 0.352
O: 0.023 0.910 0.195
O: 0.617 0.219 0.787
H: 0.189 0.825 0.103
H: 0.033 0.205 0.486
O: 0.910 0.023 0.695
H: 0.703 0.758 0.253
Eu: 0.696 0.643 0.606
S: 0.314 0.253 0.589
O: 0.248 0.236 0.298
H: 0.967 0.795 0.514
H: 0.008 0.277 0.985
O: 0.219 0.698 0.438
S: 0.176 0.824 0.250

=====

Material: H9RhN3Cl3
Method: DFT, PBE
State: relaxed

Results
total DFT energy (no corrections)	-154.383	eV per cell
corrected total energy (MP2020 scheme)	-4.940	eV/atom
SG	P2_1/m
energy relative to the elements	-10.6	eV/f.u.

a = 5.589 Å, b = 7.046 Å, c = 9.870 Å
α = 90.00°, β = 90.00°, γ = 93.29°
Element x y z (fractional)
Cl: 0.244 0.657 0.925
H: 0.741 0.031 0.899
Cl: 0.756 0.343 0.075
H: 0.322 0.161 0.009
N: 0.667 0.521 0.750
Cl: 0.756 0.343 0.425
Cl: 0.665 0.915 0.250
H: 0.087 0.155 0.111
H: 0.386 0.555 0.165
Cl: 0.335 0.085 0.750
H: 0.259 0.969 0.101
H: 0.322 0.161 0.491
H: 0.259 0.969 0.399
Rh: 0.506 0.780 0.750
H: 0.386 0.555 0.335
H: 0.678 0.839 0.991
N: 0.740 0.885 0.898
H: 0.614 0.445 0.665
Rh: 0.494 0.220 0.250
H: 0.678 0.839 0.509
H: 0.148 0.465 0.250
N: 0.260 0.115 0.398
Cl: 0.244 0.657 0.575
H: 0.614 0.445 0.835
N: 0.333 0.479 0.250
H: 0.087 0.155 0.389
N: 0.740 0.885 0.602
H: 0.852 0.535 0.750
H: 0.913 0.845 0.611
H: 0.741 0.031 0.601
N: 0.260 0.115 0.102
H: 0.913 0.845 0.889

=====

Material: LaBiO4
Method: DFT, PBE
State: relaxed

Results
total DFT energy (no corrections)	-159.172	eV per cell
corrected total energy (MP2020 scheme)	-7.090	eV/atom
SG	P2_1/c
energy relative to the elements	-13.9	eV/f.u.

a = 7.360 Å, b = 7.585 Å, c = 7.865 Å
α = 60.34°, β = 90.00°, γ = 90.00°
Element x y z (fractional)
Bi: 0.807 0.672 0.731
O: 0.663 0.940 0.582
O: 0.163 0.060 0.918
La: 0.157 0.861 0.275
O: 0.011 0.826 0.777
O: 0.130 0.310 0.542
La: 0.843 0.139 0.725
Bi: 0.307 0.328 0.769
O: 0.249 0.631 0.142
O: 0.751 0.369 0.858
La: 0.343 0.861 0.775
O: 0.749 0.369 0.358
Bi: 0.193 0.328 0.269
O: 0.489 0.826 0.277
Bi: 0.693 0.672 0.231
O: 0.511 0.174 0.723
O: 0.989 0.174 0.223
O: 0.630 0.690 0.958
O: 0.837 0.940 0.082
O: 0.370 0.310 0.042
O: 0.337 0.060 0.418
La: 0.657 0.139 0.225
O: 0.870 0.690 0.458
O: 0.251 0.631 0.642

=====

Material: SmYCo10
Method: DFT, PBE
State: relaxed

Results
total DFT energy (no corrections)	-83.264	eV per cell
SG	Pmmm
energy relative to the elements	-1.0	eV/f.u.

a = 3.930 Å, b = 4.910 Å, c = 8.517 Å
α = 90.00°, β = 90.00°, γ = 90.00°
Element x y z (fractional)
Co: 0.500 0.000 0.500
Co: 0.000 0.500 0.168
Co: 0.500 0.749 0.251
Co: 0.500 0.749 0.749
Co: 0.500 0.251 0.251
Sm: 0.000 0.000 0.000
Co: 0.500 0.251 0.749
Co: 0.500 0.500 0.000
Co: 0.000 0.000 0.334
Y: 0.000 0.500 0.500
Co: 0.000 0.500 0.832
Co: 0.000 0.000 0.666